Record 1
Compound: CdSi3AsH27C9I2
Source: the Materials Project
Functional: PBE
Structure: optimized geometry

Mass density in g/cm3: 1.7
Corrected total energy (MP2020 scheme) in eV per atom: -4.905

a b c (Å): 15.975 16.772 19.226
angles (deg): 90.00 90.00 90.00
Sites, in units of the cell vectors:
H (0.120, 0.085, 0.817)
H (0.935, 0.445, 0.395)
H (0.978, 0.412, 0.626)
Cd (0.634, 0.242, 0.829)
H (0.364, 0.331, 0.168)
H (0.050, 0.389, 0.694)
H (0.588, 0.075, 0.387)
C (0.912, 0.124, 0.822)
H (0.491, 0.028, 0.681)
C (0.106, 0.541, 0.446)
H (0.987, 0.089, 0.372)
H (0.647, 0.978, 0.596)
H (0.043, 0.151, 0.981)
H (0.824, 0.745, 0.828)
H (0.082, 0.481, 0.814)
C (0.089, 0.887, 0.358)
Si (0.075, 0.583, 0.910)
I (0.166, 0.332, 0.307)
As (0.551, 0.799, 0.159)
Si (0.388, 0.214, 0.896)
Cd (0.366, 0.742, 0.671)
Si (0.550, 0.216, 0.399)
H (0.975, 0.305, 0.997)
H (0.642, 0.046, 0.112)
C (0.026, 0.044, 0.553)
H (0.935, 0.103, 0.873)
H (0.957, 0.651, 0.519)
H (0.353, 0.478, 0.904)
H (0.156, 0.561, 0.017)
H (0.582, 0.449, 0.018)
H (0.934, 0.532, 0.749)
H (0.862, 0.609, 0.772)
H (0.741, 0.799, 0.598)
H (0.711, 0.872, 0.039)
C (0.589, 0.409, 0.235)
H (0.404, 0.510, 0.981)
H (0.315, 0.425, 0.682)
H (0.988, 0.304, 0.817)
H (0.620, 0.415, 0.183)
H (0.427, 0.968, 0.093)
C (0.975, 0.785, 0.994)
I (0.273, 0.110, 0.435)
As (0.482, 0.307, 0.841)
Si (0.502, 0.924, 0.587)
H (0.022, 0.912, 0.874)
H (0.478, 0.088, 0.374)
H (0.358, 0.546, 0.388)
H (0.059, 0.247, 0.867)
H (0.009, 0.972, 0.181)
H (0.066, 0.032, 0.751)
H (0.073, 0.032, 0.593)
C (0.525, 0.215, 0.494)
H (0.092, 0.288, 0.786)
I (0.828, 0.865, 0.435)
C (0.660, 0.254, 0.384)
H (0.626, 0.568, 0.612)
C (0.539, 0.240, 0.187)
H (0.330, 0.814, 0.094)
As (0.982, 0.193, 0.159)
H (0.475, 0.195, 0.003)
C (0.960, 0.887, 0.862)
H (0.636, 0.757, 0.864)
H (0.361, 0.412, 0.976)
Si (0.612, 0.714, 0.604)
Si (0.002, 0.165, 0.772)
H (0.454, 0.209, 0.672)
H (0.460, 0.941, 0.796)
H (0.861, 0.088, 0.024)
H (0.126, 0.932, 0.388)
H (0.119, 0.573, 0.704)
H (0.082, 0.051, 0.982)
H (0.477, 0.097, 0.863)
H (0.391, 0.108, 0.804)
Si (0.112, 0.786, 0.396)
C (0.398, 0.244, 0.685)
H (0.858, 0.954, 0.612)
H (0.559, 0.253, 0.133)
I (0.672, 0.135, 0.935)
H (0.513, 0.911, 0.872)
C (0.588, 0.876, 0.322)
As (0.051, 0.701, 0.841)
H (0.364, 0.257, 0.636)
H (0.936, 0.652, 0.165)
H (0.374, 0.068, 0.888)
H (0.324, 0.755, 0.172)
H (0.764, 0.696, 0.598)
I (0.172, 0.365, 0.065)
H (0.512, 0.513, 0.473)
H (0.685, 0.925, 0.818)
H (0.781, 0.120, 0.239)
H (0.554, 0.416, 0.486)
Cd (0.195, 0.781, 0.829)
C (0.224, 0.758, 0.379)
C (0.430, 0.896, 0.514)
C (0.835, 0.092, 0.265)
H (0.844, 0.061, 0.483)
C (0.961, 0.760, 0.687)
Si (0.575, 0.917, 0.090)
H (0.950, 0.889, 0.806)
H (0.408, 0.712, 0.286)
H (0.918, 0.551, 0.518)
H (0.512, 0.696, 0.317)
H (0.370, 0.874, 0.533)
C (0.776, 0.258, 0.121)
As (0.518, 0.807, 0.659)
C (0.411, 0.909, 0.265)
H (0.350, 0.464, 0.763)
Si (0.998, 0.665, 0.728)
Cd (0.695, 0.719, 0.171)
H (0.864, 0.243, 0.364)
I (0.773, 0.390, 0.565)
H (0.874, 0.432, 0.112)
H (0.991, 0.472, 0.319)
H (0.789, 0.128, 0.539)
H (0.457, 0.849, 0.481)
H (0.582, 0.019, 0.186)
H (0.136, 0.669, 0.668)
H (0.446, 0.916, 0.014)
C (0.840, 0.746, 0.884)
H (0.630, 0.374, 0.967)
H (0.412, 0.575, 0.113)
C (0.276, 0.242, 0.879)
H (0.434, 0.968, 0.251)
C (0.475, 0.715, 0.006)
H (0.736, 0.304, 0.098)
Si (0.925, 0.083, 0.590)
As (0.449, 0.299, 0.341)
H (0.566, 0.468, 0.249)
I (0.227, 0.890, 0.935)
Si (0.428, 0.340, 0.728)
H (0.864, 0.169, 0.832)
C (0.149, 0.613, 0.981)
H (0.397, 0.271, 0.016)
H (0.946, 0.584, 0.986)
Si (0.928, 0.160, 0.272)
I (0.328, 0.635, 0.565)
H (0.012, 0.804, 0.683)
H (0.857, 0.294, 0.283)
H (0.738, 0.744, 0.677)
H (0.109, 0.016, 0.163)
H (0.525, 0.695, 0.497)
H (0.013, 0.589, 0.128)
H (0.509, 0.528, 0.819)
Si (0.950, 0.784, 0.899)
C (0.665, 0.908, 0.765)
H (0.487, 0.411, 0.628)
C (0.550, 0.505, 0.860)
H (0.211, 0.628, 0.961)
H (0.450, 0.611, 0.194)
H (0.603, 0.771, 0.484)
H (0.318, 0.474, 0.328)
H (0.380, 0.915, 0.317)
H (0.435, 0.055, 0.605)
H (0.870, 0.626, 0.467)
H (0.904, 0.990, 0.019)
Si (0.002, 0.576, 0.413)
C (0.724, 0.742, 0.621)
H (0.633, 0.670, 0.484)
H (0.881, 0.073, 0.796)
I (0.334, 0.668, 0.807)
H (0.531, 0.680, 0.996)
H (0.296, 0.713, 0.090)
I (0.228, 0.855, 0.694)
H (0.796, 0.787, 0.910)
H (0.096, 0.490, 0.481)
H (0.759, 0.201, 0.098)
H (0.639, 0.912, 0.524)
C (0.102, 0.756, 0.185)
H (0.136, 0.743, 0.136)
H (0.636, 0.831, 0.332)
Si (0.572, 0.840, 0.772)
H (0.908, 0.788, 0.714)
H (0.064, 0.152, 0.335)
H (0.046, 0.791, 0.172)
H (0.017, 0.225, 0.484)
H (0.023, 0.903, 0.363)
Si (0.498, 0.424, 0.913)
H (0.656, 0.939, 0.983)
H (0.546, 0.709, 0.828)
H (0.853, 0.022, 0.096)
H (0.609, 0.484, 0.837)
Si (0.888, 0.286, 0.104)
H (0.625, 0.836, 0.989)
H (0.543, 0.349, 0.019)
Si (0.425, 0.417, 0.410)
H (0.517, 0.275, 0.516)
H (0.375, 0.336, 0.511)
H (0.565, 0.897, 0.373)
H (0.236, 0.196, 0.902)
H (0.259, 0.299, 0.902)
H (0.927, 0.532, 0.907)
H (0.469, 0.180, 0.504)
I (0.666, 0.168, 0.693)
H (0.875, 0.164, 0.489)
C (0.088, 0.624, 0.678)
C (0.911, 0.387, 0.142)
C (0.013, 0.110, 0.323)
C (0.460, 0.613, 0.138)
H (0.418, 0.519, 0.314)
H (0.025, 0.805, 0.503)
C (0.089, 0.091, 0.765)
H (0.592, 0.212, 0.214)
H (0.125, 0.664, 0.011)
C (0.025, 0.285, 0.506)
H (0.289, 0.372, 0.461)
Cd (0.134, 0.258, 0.171)
C (0.412, 0.376, 0.178)
H (0.357, 0.206, 0.717)
C (0.894, 0.041, 0.054)
C (0.039, 0.260, 0.813)
H (0.676, 0.255, 0.328)
C (0.375, 0.496, 0.354)
C (0.090, 0.787, 0.492)
H (0.850, 0.036, 0.237)
H (0.281, 0.380, 0.761)
H (0.065, 0.945, 0.105)
H (0.219, 0.620, 0.261)
H (0.441, 0.753, 0.367)
H (0.088, 0.425, 0.613)
H (0.241, 0.701, 0.402)
I (0.727, 0.610, 0.065)
Si (0.498, 0.835, 0.272)
C (0.602, 0.744, 0.815)
H (0.065, 0.603, 0.627)
C (0.950, 0.495, 0.360)
Si (0.450, 0.716, 0.101)
Si (0.502, 0.335, 0.228)
Si (0.998, 0.076, 0.087)
H (0.142, 0.454, 0.888)
H (0.040, 0.059, 0.296)
C (0.898, 0.256, 0.315)
C (0.125, 0.504, 0.854)
H (0.143, 0.794, 0.217)
H (0.435, 0.397, 0.127)
H (0.344, 0.439, 0.517)
H (0.762, 0.256, 0.177)
H (0.436, 0.848, 0.835)
H (0.977, 0.403, 0.137)
H (0.170, 0.186, 0.594)
H (0.418, 0.949, 0.482)
H (0.670, 0.314, 0.406)
H (0.185, 0.575, 0.182)
C (0.987, 0.610, 0.177)
H (0.880, 0.585, 0.683)
H (0.150, 0.536, 0.263)
H (0.719, 0.880, 0.739)
H (0.078, 0.313, 0.478)
H (0.139, 0.588, 0.476)
H (0.891, 0.392, 0.196)
C (0.394, 0.459, 0.946)
C (0.540, 0.113, 0.362)
C (0.851, 0.113, 0.519)
H (0.922, 0.813, 0.022)
C (0.335, 0.408, 0.735)
H (0.176, 0.245, 0.672)
H (0.818, 0.026, 0.672)
H (0.891, 0.516, 0.337)
H (0.362, 0.891, 0.228)
C (0.910, 0.287, 0.008)
H (0.523, 0.597, 0.637)
H (0.264, 0.804, 0.402)
H (0.130, 0.126, 0.033)
H (0.488, 0.196, 0.183)
Cd (0.805, 0.281, 0.671)
I (0.834, 0.832, 0.193)
I (0.728, 0.645, 0.306)
H (0.619, 0.927, 0.296)
C (0.606, 0.959, 0.554)
H (0.830, 0.686, 0.906)
H (0.596, 0.010, 0.519)
H (0.565, 0.555, 0.895)
I (0.272, 0.145, 0.194)
Si (0.050, 0.284, 0.601)
H (0.012, 0.987, 0.527)
H (0.969, 0.320, 0.496)
C (0.590, 0.713, 0.508)
H (0.054, 0.084, 0.514)
H (0.391, 0.984, 0.663)
C (0.070, 0.104, 0.014)
C (0.875, 0.004, 0.646)
H (0.573, 0.468, 0.407)
H (0.578, 0.187, 0.522)
H (0.918, 0.981, 0.686)
H (0.682, 0.974, 0.172)
C (0.911, 0.591, 0.735)
H (0.488, 0.013, 0.027)
H (0.483, 0.775, 0.984)
H (0.941, 0.747, 0.633)
H (0.550, 0.111, 0.306)
H (0.109, 0.892, 0.304)
H (0.954, 0.291, 0.328)
C (0.513, 0.390, 0.677)
H (0.650, 0.964, 0.737)
H (0.367, 0.170, 0.016)
Cd (0.866, 0.758, 0.329)
C (0.974, 0.544, 0.947)
C (0.526, 0.456, 0.447)
H (0.381, 0.427, 0.204)
H (0.643, 0.706, 0.783)
As (0.018, 0.693, 0.341)
C (0.340, 0.754, 0.116)
H (0.983, 0.725, 0.016)
C (0.649, 0.887, 0.019)
H (0.609, 0.608, 0.696)
Si (0.072, 0.660, 0.228)
Cd (0.305, 0.219, 0.329)
H (0.031, 0.820, 0.004)
H (0.204, 0.287, 0.590)
H (0.867, 0.330, 0.984)
H (0.138, 0.109, 0.728)
C (0.050, 0.995, 0.140)
C (0.411, 0.113, 0.858)
C (0.930, 0.604, 0.486)
C (0.351, 0.387, 0.481)
C (0.589, 0.613, 0.642)
H (0.133, 0.830, 0.516)
H (0.704, 0.213, 0.410)
H (0.238, 0.756, 0.323)
H (0.564, 0.348, 0.665)
H (0.960, 0.559, 0.204)
I (0.772, 0.355, 0.806)
C (0.625, 0.996, 0.146)
C (0.450, 0.005, 0.640)
H (0.262, 0.244, 0.823)
H (0.103, 0.729, 0.516)
H (0.540, 0.441, 0.704)
H (0.988, 0.487, 0.973)
H (0.182, 0.526, 0.828)
H (0.897, 0.229, 0.984)
H (0.422, 0.687, 0.978)
C (0.165, 0.592, 0.235)
C (0.461, 0.740, 0.313)
As (0.949, 0.201, 0.659)
C (0.410, 0.213, 0.992)
C (0.570, 0.396, 0.986)
C (0.040, 0.387, 0.638)
C (0.474, 0.956, 0.053)
H (0.638, 0.391, 0.272)
C (0.160, 0.246, 0.616)
H (0.522, 0.588, 0.126)
H (0.147, 0.522, 0.404)
C (0.487, 0.890, 0.823)
H (0.815, 0.075, 0.318)
H (0.912, 0.925, 0.887)

Record 2
Compound: AsCSCl2F9
Source: the Materials Project
Functional: PBE
Structure: optimized geometry

Mass density in g/cm3: 2.6
Corrected total energy (MP2020 scheme) in eV per atom: -4.595

a b c (Å): 9.676 7.867 12.459
angles (deg): 79.07 90.00 90.00
Sites, in units of the cell vectors:
S (0.328, 0.827, 0.694)
F (0.297, 0.403, 0.361)
Cl (0.366, 0.816, 0.243)
F (0.688, 0.765, 0.446)
F (0.918, 0.722, 0.541)
Cl (0.563, 0.265, 0.173)
F (0.188, 0.235, 0.054)
F (0.613, 0.319, 0.479)
F (0.113, 0.681, 0.021)
As (0.245, 0.195, 0.430)
F (0.387, 0.681, 0.521)
Cl (0.063, 0.735, 0.327)
F (0.093, 0.497, 0.176)
F (0.799, 0.430, 0.392)
Cl (0.634, 0.184, 0.757)
F (0.907, 0.503, 0.824)
F (0.696, 0.018, 0.002)
F (0.804, 0.018, 0.502)
C (0.831, 0.379, 0.882)
F (0.299, 0.570, 0.108)
F (0.909, 0.891, 0.101)
Cl (0.437, 0.735, 0.827)
F (0.701, 0.430, 0.892)
F (0.418, 0.278, 0.959)
F (0.812, 0.765, 0.946)
F (0.678, 0.853, 0.194)
F (0.201, 0.570, 0.608)
F (0.196, 0.982, 0.498)
F (0.887, 0.319, 0.979)
F (0.407, 0.497, 0.676)
F (0.091, 0.109, 0.899)
F (0.312, 0.235, 0.554)
C (0.169, 0.621, 0.118)
As (0.755, 0.805, 0.570)
F (0.822, 0.853, 0.694)
S (0.172, 0.827, 0.194)
Cl (0.866, 0.184, 0.257)
F (0.322, 0.147, 0.806)
F (0.797, 0.597, 0.139)
As (0.255, 0.195, 0.930)
F (0.409, 0.109, 0.399)
F (0.591, 0.891, 0.601)
F (0.304, 0.982, 0.998)
F (0.582, 0.722, 0.041)
F (0.593, 0.503, 0.324)
F (0.203, 0.403, 0.861)
Cl (0.134, 0.816, 0.743)
As (0.745, 0.805, 0.070)
F (0.082, 0.278, 0.459)
S (0.672, 0.173, 0.306)
C (0.669, 0.379, 0.382)
C (0.331, 0.621, 0.618)
S (0.828, 0.173, 0.806)
F (0.703, 0.597, 0.639)
F (0.178, 0.147, 0.306)
Cl (0.937, 0.265, 0.673)

Number 1: energy -1681.15 eV per cell, DFT formation energy -0.26 eV per atom. Number 2: energy -240.68 eV per cell, DFT formation energy -1.81 eV per atom.